## Na7La2Si3Ge2P3O24 (GGA-PBE)

Data for an optimized crystal structure of Na7La2Si3Ge2P3O24.

```
Na7La2Si3Ge2P3O24
1.0
9.1623 0.0000 0.0000
-4.5438 7.9933 0.0000
-0.2827 -0.2893 22.4160
Na La Si Ge P O
21 6 9 6 9 72
Direct
0.0000 0.0000 0.0000 Na
0.0033 0.6122 0.2485 Na
0.0122 0.2448 0.4919 Na
0.0306 0.3082 0.1666 Na
0.0453 0.9514 0.6759 Na
0.3042 0.5774 0.6725 Na
0.3238 0.2629 0.0929 Na
0.3304 0.9268 0.8315 Na
0.3353 0.2786 0.5815 Na
0.3383 0.6449 0.3295 Na
0.3648 0.9790 0.4909 Na
0.3801 0.6114 0.0043 Na
0.6229 0.6058 0.4889 Na
0.6279 0.2350 0.9975 Na
0.6605 0.3094 0.6723 Na
0.6683 0.9571 0.4044 Na
0.6701 0.5821 0.1692 Na
0.6808 0.9449 0.9099 Na
0.9749 0.9182 0.3311 Na
0.9819 0.2720 0.8366 Na
0.9899 0.6167 0.7583 Na
0.0095 0.6169 0.6027 La
0.3312 0.2794 0.9307 La
0.3325 0.2787 0.4080 La
0.3409 0.2743 0.7512 La
0.6597 0.9391 0.5604 La
0.6749 0.9528 0.0765 La
0.0001 0.9410 0.8339 Si
0.0045 0.3448 0.0034 Si
0.0130 0.2704 0.3280 Si
0.2889 0.6057 0.4895 Si
0.3675 0.6371 0.1672 Si
0.3783 0.9503 0.6713 Si
0.6452 0.5918 0.3298 Si
0.6651 0.2778 0.8324 Si
0.9895 0.9511 0.1674 Si
0.0249 0.6300 0.1056 Ge
0.3354 0.2852 0.2368 Ge
0.6712 0.9485 0.7692 Ge
0.6729 0.9373 0.2593 Ge
0.9855 0.5906 0.3913 Ge
0.9937 0.6062 0.8988 Ge
0.0041 0.9022 0.4885 P
0.2729 0.8839 0.0004 P
0.3356 0.6111 0.8341 P
0.3453 0.9729 0.3278 P
0.6584 0.2473 0.1695 P
0.6645 0.6536 0.6721 P
0.7106 0.3211 0.4911 P
0.7354 0.6130 0.0032 P
0.9609 0.2362 0.6724 P
0.0070 0.4459 0.9431 O
0.0070 0.4480 0.3335 O
0.0090 0.8301 0.5501 O
0.0128 0.4490 0.0657 O
0.0552 0.2107 0.3905 O
0.0790 0.0800 0.8887 O
0.1272 0.0100 0.7779 O
0.1411 0.2643 0.6763 O
0.1648 0.0751 0.4873 O
0.1693 0.1186 0.1866 O
0.1699 0.6146 0.4322 O
0.1730 0.3251 0.0046 O
0.1747 0.3171 0.2825 O
0.1764 0.6176 0.1626 O
0.1762 0.8015 0.0584 O
0.1795 0.7877 0.9433 O
0.1800 0.6336 0.8441 O
0.1811 0.7992 0.3253 O
0.1986 0.7787 0.6799 O
0.2081 0.5950 0.5543 O
0.2914 0.4989 0.7782 O
0.2920 0.0607 0.0004 O
0.3092 0.4413 0.4864 O
0.3127 0.0935 0.2871 O
0.3423 0.4471 0.1809 O
0.3538 0.1144 0.6734 O
0.3688 0.5281 0.8881 O
0.3783 0.0463 0.3913 O
0.4472 0.8966 0.0009 O
0.4583 0.9612 0.6062 O
0.4700 0.7806 0.4826 O
0.4709 0.6893 0.1055 O
0.4798 0.7741 0.2196 O
0.4898 0.7873 0.8264 O
0.4977 0.9495 0.3129 O
0.5022 0.9505 0.7262 O
0.5049 0.2715 0.1834 O
0.5050 0.4809 0.6756 O
0.5274 0.2287 0.8853 O
0.5291 0.4478 0.2791 O
0.5325 0.2967 0.4862 O
0.5457 0.5465 0.3914 O
0.5606 0.4531 0.0017 O
0.6008 0.3182 0.7710 O
0.6236 0.1698 0.1060 O
0.6597 0.7181 0.6091 O
0.6658 0.7734 0.7209 O
0.6696 0.7796 0.3147 O
0.6876 0.1104 0.8254 O
0.6911 0.1320 0.2118 O
0.7114 0.1548 0.4853 O
0.7147 0.7703 0.0023 O
0.7790 0.4019 0.5528 O
0.8168 0.9255 0.8209 O
0.8210 0.4227 0.1710 O
0.8217 0.4352 0.4400 O
0.8244 0.6062 0.0623 O
0.8249 0.6404 0.6797 O
0.8322 0.6196 0.9467 O
0.8353 0.1594 0.0005 O
0.8354 0.9026 0.2154 O
0.8355 0.1041 0.3075 O
0.8381 0.6139 0.3360 O
0.8444 0.9180 0.4835 O
0.8535 0.4369 0.8456 O
0.8565 0.1236 0.7248 O
0.8911 0.1541 0.6111 O
0.9410 0.0108 0.1055 O
0.9617 0.4038 0.6786 O
0.9893 0.7617 0.8484 O
0.9936 0.7712 0.1600 O
0.9972 0.7882 0.4352 O
```

SG: No. 1
E_tot (eV/atom): -6.74

=====

## UFe4B (GGA-PBE)

Data for an optimized crystal structure of UFe4B.

```
UFe4B
1.0
4.8535 0.0000 0.0000
-2.4268 4.2033 0.0000
0.0000 0.0000 6.8958
U Fe B
2 8 2
Direct
0.0000 0.0000 0.0000 U
0.0000 0.0000 0.5000 U
0.0000 0.5000 0.2182 Fe
0.0000 0.5000 0.7818 Fe
0.3333 0.6667 0.5000 Fe
0.5000 0.0000 0.2182 Fe
0.5000 0.0000 0.7818 Fe
0.5000 0.5000 0.2182 Fe
0.5000 0.5000 0.7818 Fe
0.6667 0.3333 0.5000 Fe
0.3333 0.6667 0.0000 B
0.6667 0.3333 0.0000 B
```

SG: No. 191
E_tot (eV/atom): -8.81

=====

## HXeF7 (GGA-PBE)

Data for an optimized crystal structure of HXeF7.

```
HXeF7
1.0
8.7436 5.0481 3.8798
-8.7436 5.0481 3.8798
0.0000 -10.0962 3.8798
H Xe F
6 6 42
Direct
0.1823 0.6060 0.5781 H
0.3940 0.4219 0.8177 H
0.4219 0.8177 0.3940 H
0.5781 0.1823 0.6060 H
0.6060 0.5781 0.1823 H
0.8177 0.3940 0.4219 H
0.0064 0.3672 0.2398 Xe
0.2398 0.0064 0.3672 Xe
0.3672 0.2398 0.0064 Xe
0.6328 0.7603 0.9936 Xe
0.7602 0.9936 0.6328 Xe
0.9936 0.6328 0.7602 Xe
0.0161 0.2084 0.0958 F
0.0643 0.7804 0.6889 F
0.0688 0.5666 0.4138 F
0.0747 0.8130 0.3033 F
0.0958 0.0161 0.2084 F
0.0957 0.4887 0.1555 F
0.1555 0.0957 0.4887 F
0.1870 0.6967 0.9253 F
0.2060 0.4030 0.3654 F
0.2084 0.0958 0.0161 F
0.2196 0.3111 0.9357 F
0.2209 0.6172 0.6757 F
0.3033 0.0747 0.8130 F
0.3111 0.9357 0.2196 F
0.3243 0.7791 0.3828 F
0.3654 0.2060 0.4030 F
0.3828 0.3243 0.7791 F
0.4030 0.3654 0.2060 F
0.4138 0.0688 0.5666 F
0.4334 0.5862 0.9312 F
0.4887 0.1555 0.0957 F
0.5113 0.8445 0.9043 F
0.5666 0.4138 0.0688 F
0.5862 0.9312 0.4334 F
0.5970 0.6346 0.7940 F
0.6172 0.6757 0.2209 F
0.6346 0.7940 0.5970 F
0.6757 0.2209 0.6172 F
0.6889 0.0643 0.7804 F
0.6967 0.9253 0.1870 F
0.7791 0.3828 0.3243 F
0.7804 0.6889 0.0643 F
0.7916 0.9042 0.9839 F
0.7940 0.5970 0.6346 F
0.8130 0.3033 0.0747 F
0.8445 0.9043 0.5113 F
0.9043 0.5113 0.8445 F
0.9042 0.9839 0.7916 F
0.9253 0.1870 0.6967 F
0.9312 0.4334 0.5862 F
0.9357 0.2196 0.3111 F
0.9839 0.7916 0.9042 F
```

SG: No. 148
E_tot (eV/atom): -2.52

=====

## Mg2Ti3InS8 (GGA-PBE)

Data for an optimized crystal structure of Mg2Ti3InS8.

```
Mg2Ti3InS8
1.0
6.3021 -3.6355 0.0000
6.3021 3.6355 0.0000
-4.2097 0.0000 6.2721
Mg Ti In S
2 3 1 8
Direct
0.0000 0.0000 0.0000 Mg
0.7453 0.7453 0.2360 Mg
0.3724 0.8726 0.6178 Ti
0.3726 0.3726 0.6179 Ti
0.8726 0.3724 0.6178 Ti
0.3726 0.3726 0.1183 In
0.1231 0.1231 0.8416 S
0.1229 0.5957 0.8416 S
0.1314 0.1314 0.3946 S
0.1495 0.6224 0.3944 S
0.5957 0.1229 0.8416 S
0.6137 0.6137 0.8413 S
0.6224 0.1495 0.3944 S
0.6222 0.6222 0.3940 S
```

SG: No. 8
E_tot (eV/atom): -5.66

=====

## FeSe (GGA-PBE)

Data for an optimized crystal structure of FeSe.

```
FeSe
1.0
6.5571 0.0000 0.0000
0.0000 4.4013 0.0000
0.0000 0.0000 4.7125
Fe Se
4 4
Direct
0.0963 0.2500 0.0258 Fe
0.4037 0.7500 0.5258 Fe
0.5963 0.2500 0.4742 Fe
0.9037 0.7500 0.9742 Fe
0.2312 0.2500 0.5215 Se
0.2688 0.7500 0.0215 Se
0.7312 0.2500 0.9785 Se
0.7688 0.7500 0.4785 Se
```

SG: No. 62
E_tot (eV/atom): -6.00

=====

## CeSi2Ru3 (GGA-PBE)

Data for an optimized crystal structure of CeSi2Ru3.

```
CeSi2Ru3
1.0
5.6298 0.0000 0.0000
-2.8149 4.8755 0.0000
0.0000 0.0000 3.6008
Ce Si Ru
1 2 3
Direct
0.0000 0.0000 0.0000 Ce
0.3333 0.6667 0.0000 Si
0.6667 0.3333 0.0000 Si
0.0000 0.5000 0.5000 Ru
0.5000 0.0000 0.5000 Ru
0.5000 0.5000 0.5000 Ru
```

SG: No. 191
E_tot (eV/atom): -8.12

=====

## CsTe2O6 (GGA-PBE)

Data for an optimized crystal structure of CsTe2O6.

```
CsTe2O6
1.0
3.7104 2.1422 6.1677
-3.7104 2.1422 6.1677
0.0000 -4.2843 6.1677
Cs Te O
2 4 12
Direct
0.1224 0.1224 0.1224 Cs
0.8776 0.8776 0.8776 Cs
0.0000 0.5000 0.5000 Te
0.5000 0.0000 0.5000 Te
0.5000 0.5000 0.0000 Te
0.5000 0.5000 0.5000 Te
0.1651 0.5716 0.5716 O
0.1829 0.1829 0.5759 O
0.1829 0.5759 0.1829 O
0.4241 0.8171 0.8171 O
0.4284 0.4284 0.8349 O
0.4284 0.8349 0.4284 O
0.5716 0.1651 0.5716 O
0.5716 0.5716 0.1651 O
0.5759 0.1829 0.1829 O
0.8171 0.4241 0.8171 O
0.8171 0.8171 0.4241 O
0.8349 0.4284 0.4284 O
```

SG: No. 166
E_tot (eV/atom): -5.29

=====

Question: Look up the E_tot of the fifth one.
Answer: -6.00 eV/atom

=====

Question: Which of these has the highest E_tot?
Answer: HXeF7

=====

Repeat the second record exactly.
## UFe4B (GGA-PBE)

Data for an optimized crystal structure of UFe4B.

```
UFe4B
1.0
4.8535 0.0000 0.0000
-2.4268 4.2033 0.0000
0.0000 0.0000 6.8958
U Fe B
2 8 2
Direct
0.0000 0.0000 0.0000 U
0.0000 0.0000 0.5000 U
0.0000 0.5000 0.2182 Fe
0.0000 0.5000 0.7818 Fe
0.3333 0.6667 0.5000 Fe
0.5000 0.0000 0.2182 Fe
0.5000 0.0000 0.7818 Fe
0.5000 0.5000 0.2182 Fe
0.5000 0.5000 0.7818 Fe
0.6667 0.3333 0.5000 Fe
0.3333 0.6667 0.0000 B
0.6667 0.3333 0.0000 B
```

SG: No. 191
E_tot (eV/atom): -8.81

=====

Question: Look up the E_tot of the sixth one.
Answer: -8.12 eV/atom